An optimized crystal structure of SrCaPrSbO6, computed with GGA-PBE.

a b c (Å): 8.456 8.468 8.470
angles (deg): 90.00 90.00 90.00
Space group P222 (No. 16)
Symmetry-distinct sites (fractional):
Sr 0.000 0.000 0.000
Sr 0.000 0.000 0.500
Sr 0.500 0.000 0.000
Sr 0.500 0.500 0.500
Ca 0.000 0.500 0.000
Ca 0.000 0.500 0.500
Ca 0.500 0.000 0.500
Ca 0.500 0.500 0.000
Pr 0.250 0.252 0.750
Sb 0.250 0.253 0.251
O 0.021 0.216 0.200
O 0.195 0.480 0.295
O 0.216 0.203 0.481
O 0.293 0.307 0.022
O 0.294 0.021 0.214
O 0.480 0.287 0.296

E_tot in eV per atom: -6.7599
V in Å³/f.u.: 152
DFT formation energy in eV per atom: -2.9428